Computed, not measured: a geometry-optimized K2Si5BO12 structure at the PBE-GGA level of DFT.

Cell: 4.7818 13.3915 9.1986 Å, 90.00 90.00 90.00°
Sites, in units of the cell vectors:
K1 0.9474 0.0000 0.9415
K2 0.0526 0.5000 0.4415
K3 0.4655 0.0000 0.2691
K4 0.5345 0.5000 0.7691
Si1 0.8556 0.7101 0.9446
Si2 0.1444 0.7899 0.4446
Si3 0.1444 0.2101 0.4446
Si4 0.8556 0.2899 0.9446
Si5 0.3578 0.7993 0.7766
Si6 0.6422 0.7007 0.2766
Si7 0.6422 0.2993 0.2766
Si8 0.3578 0.2007 0.7766
Si9 0.9377 0.0000 0.5307
Si10 0.0623 0.5000 0.0307
B1 0.4374 0.0000 0.7008
B2 0.5626 0.5000 0.2008
O1 0.9865 0.5972 0.9268
O2 0.0135 0.9028 0.4268
O3 0.0135 0.0972 0.4268
O4 0.9865 0.4028 0.9268
O5 0.1335 0.0000 0.6722
O6 0.8665 0.5000 0.1722
O7 0.6049 0.0000 0.5652
O8 0.3951 0.5000 0.0652
O9 0.9077 0.7085 0.3926
O10 0.0923 0.7915 0.8926
O11 0.0923 0.2085 0.8926
O12 0.9077 0.2915 0.3926
O13 0.2478 0.7692 0.6121
O14 0.7522 0.7308 0.1121
O15 0.7522 0.2692 0.1121
O16 0.2478 0.2308 0.6121
O17 0.5907 0.7162 0.8307
O18 0.4093 0.7838 0.3307
O19 0.4093 0.2162 0.3307
O20 0.5907 0.2838 0.8307
O21 0.5001 0.9094 0.7878
O22 0.4999 0.5906 0.2878
O23 0.4999 0.4094 0.2878
O24 0.5001 0.0906 0.7878

The total magnetic moment is 0.00 μB per formula unit. The calculated total energy comes out at -7.301 eV/atom. The space group is Pmn2_1, No. 31. The value obtained for the formation energy is -2944 meV/atom.